Density functional theory data (PBE-GGA) for crystalline Hf3N2 at its relaxed geometry.

Unit cell a=8.0063 b=8.0063 c=8.0063 alpha=23.20 beta=23.20 gamma=23.20
Fractional coordinates of all 5 atoms:
1 N 0.3884 0.3884 0.3884
2 N 0.6116 0.6116 0.6116
3 Hf 0.7791 0.7791 0.7791
4 Hf 0.2209 0.2209 0.2209
5 Hf 0.0000 0.0000 0.0000

Calculated values
Symmetry = R-3m, No. 166
Formation energy from the elements = -1.615 eV per atom
Total DFT energy (no corrections) = -10.779 eV/atom